(1)
{"formula": "MgFe2O3", "functional": "PBE+U", "state": "optimized geometry", "lattice_angstrom": [[-2.142, -2.139, 0.001], [-2.162, 0.024, -6.619], [4.363, -4.357, 0.003]], "species": ["Mg", "Mg", "Fe", "Fe", "Fe", "Fe", "O", "O", "O", "O", "O", "O"], "fractional_positions": [[0.000, 0.000, 0.000], [0.000, 0.000, 0.500], [0.334, 0.333, 0.833], [0.666, 0.667, 0.167], [0.334, 0.333, 0.333], [0.666, 0.667, 0.667], [0.500, 0.000, 0.250], [0.500, 0.000, 0.750], [0.838, 0.326, 0.081], [0.837, 0.326, 0.581], [0.163, 0.674, 0.419], [0.162, 0.674, 0.919]]}

***

(2)
{"formula": "Mg3FeO4", "functional": "PBE+U", "state": "optimized geometry", "lattice_angstrom": [[2.153, 0.001, 2.150], [4.357, -6.378, -6.507], [2.159, 4.227, -2.158]], "species": ["Mg", "Mg", "Mg", "Mg", "Mg", "Mg", "Fe", "Fe", "O", "O", "O", "O", "O", "O", "O", "O"], "fractional_positions": [[0.250, 0.500, 0.750], [0.750, 0.500, 0.250], [0.126, 0.254, 0.382], [0.626, 0.254, 0.882], [0.374, 0.746, 0.118], [0.874, 0.746, 0.618], [0.500, 0.000, 0.500], [0.000, 0.000, 0.000], [0.434, 0.866, 0.796], [0.933, 0.867, 0.297], [0.067, 0.133, 0.704], [0.566, 0.134, 0.204], [0.315, 0.623, 0.433], [0.815, 0.623, 0.934], [0.185, 0.377, 0.066], [0.685, 0.377, 0.567]]}

***

(3)
{"formula": "MgFe2O3", "functional": "PBE+U", "state": "optimized geometry", "sg": "No. 2", "lattice_angstrom": [[-2.220, -2.172, 0.019], [-0.011, 2.245, -6.483], [2.201, -2.153, 0.036]], "species": ["Mg", "Fe", "Fe", "O", "O", "O"], "fractional_positions": [[0.000, 0.000, 0.000], [0.666, 0.334, 0.670], [0.334, 0.665, 0.330], [0.500, 0.000, 0.500], [0.164, 0.328, 0.168], [0.836, 0.672, 0.832]]}

***

(4)
{"formula": "MgFeO3", "functional": "PBE+U", "state": "optimized geometry", "sg": "No. 15", "lattice_angstrom": [[-3.900, -1.714, 4.906], [4.608, -2.566, 3.794], [0.778, 4.783, 2.293]], "species": ["Mg", "Mg", "Mg", "Mg", "Fe", "Fe", "Fe", "Fe", "O", "O", "O", "O", "O", "O", "O", "O", "O", "O", "O", "O"], "fractional_positions": [[0.796, 0.592, 0.720], [0.592, 0.796, 0.220], [0.408, 0.204, 0.780], [0.204, 0.408, 0.280], [0.912, 0.088, 0.750], [0.268, 0.732, 0.750], [0.732, 0.268, 0.250], [0.088, 0.912, 0.250], [0.979, 0.809, 0.610], [0.809, 0.979, 0.110], [0.877, 0.338, 0.914], [0.725, 0.533, 0.369], [0.338, 0.877, 0.414], [0.533, 0.725, 0.869], [0.467, 0.275, 0.131], [0.662, 0.123, 0.586], [0.275, 0.467, 0.631], [0.123, 0.662, 0.086], [0.191, 0.021, 0.890], [0.021, 0.191, 0.390]]}

***

(5)
{"formula": "Mg2Fe2O5", "functional": "PBE+U", "state": "optimized geometry", "relative_energy_mev_per_atom": 43, "sg": "No. 46", "lattice_angstrom": [[5.419, -1.289, 5.542], [0.035, 3.912, 6.815], [-4.892, -4.028, -4.646]], "species": ["Mg", "Mg", "Mg", "Mg", "Fe", "Fe", "Fe", "Fe", "O", "O", "O", "O", "O", "O", "O", "O", "O", "O"], "fractional_positions": [[0.341, 0.893, 0.469], [0.576, 0.107, 0.448], [0.841, 0.372, 0.448], [0.076, 0.628, 0.469], [0.013, 0.000, 0.013], [0.513, 0.500, 0.013], [0.693, 0.717, 0.910], [0.193, 0.283, 0.976], [0.312, 0.299, 0.526], [0.228, 0.701, 0.013], [0.812, 0.286, 0.013], [0.728, 0.714, 0.526], [0.941, 0.995, 0.221], [0.226, 0.005, 0.946], [0.441, 0.220, 0.946], [0.726, 0.780, 0.221], [0.335, 0.623, 0.457], [0.835, 0.377, 0.712]]}

***

(6)
{"formula": "Mg10Fe9O24", "functional": "PBE+U", "state": "optimized geometry", "sg": "No. 1", "lattice_angstrom": [[-0.705, -3.510, 4.775], [1.752, -2.532, -5.277], [14.013, 2.435, 3.733]], "species": ["Mg", "Mg", "Mg", "Mg", "Mg", "Mg", "Mg", "Mg", "Mg", "Mg", "Fe", "Fe", "Fe", "Fe", "Fe", "Fe", "Fe", "Fe", "Fe", "O", "O", "O", "O", "O", "O", "O", "O", "O", "O", "O", "O", "O", "O", "O", "O", "O", "O", "O", "O", "O", "O", "O", "O"], "fractional_positions": [[0.834, 0.166, 0.792], [0.666, 0.336, 0.958], [0.334, 0.650, 0.673], [0.159, 0.814, 0.465], [0.000, 0.998, 0.627], [0.834, 0.658, 0.291], [0.628, 0.242, 0.343], [0.334, 0.666, 0.293], [0.509, 0.518, 0.117], [0.008, 0.517, 0.117], [0.997, 0.991, 0.004], [0.334, 0.684, 0.914], [0.836, 0.674, 0.790], [0.658, 0.334, 0.581], [0.159, 0.327, 0.455], [0.329, 0.166, 0.790], [0.040, 0.088, 0.240], [0.647, 0.808, 0.465], [0.511, 0.021, 0.126], [0.984, 0.502, 0.870], [0.509, 0.498, 0.869], [0.667, 0.336, 0.714], [0.503, 0.025, 0.870], [0.312, 0.155, 0.536], [0.161, 0.300, 0.715], [0.838, 0.153, 0.536], [0.157, 0.841, 0.716], [0.995, 0.993, 0.373], [0.001, 0.997, 0.871], [0.835, 0.678, 0.540], [0.694, 0.836, 0.716], [0.678, 0.849, 0.211], [0.468, 0.925, 0.389], [0.171, 0.852, 0.212], [0.502, 0.495, 0.374], [0.346, 0.697, 0.045], [0.325, 0.637, 0.535], [0.998, 0.489, 0.373], [0.202, 0.402, 0.198], [0.826, 0.656, 0.041], [0.824, 0.175, 0.046], [0.675, 0.344, 0.206], [0.350, 0.177, 0.047]]}

***

(7)
{"formula": "Mg3FeO4", "functional": "PBE+U", "state": "optimized geometry", "lattice_angstrom": [[2.152, -0.002, 2.153], [-4.300, -8.468, 4.312], [8.650, -2.160, -6.504]], "species": ["Mg", "Mg", "Mg", "Mg", "Mg", "Mg", "Mg", "Mg", "Mg", "Mg", "Mg", "Mg", "Fe", "Fe", "Fe", "Fe", "O", "O", "O", "O", "O", "O", "O", "O", "O", "O", "O", "O", "O", "O", "O", "O"], "fractional_positions": [[0.750, 0.375, 0.500], [0.250, 0.125, 0.500], [0.750, 0.875, 0.500], [0.250, 0.625, 0.500], [0.873, 0.438, 0.254], [0.373, 0.188, 0.253], [0.873, 0.938, 0.254], [0.374, 0.688, 0.253], [0.627, 0.312, 0.746], [0.127, 0.062, 0.747], [0.627, 0.812, 0.746], [0.126, 0.562, 0.747], [0.500, 0.751, 0.000], [0.000, 0.499, 0.000], [0.500, 0.251, 0.000], [0.000, 0.999, 0.000], [0.567, 0.533, 0.867], [0.067, 0.282, 0.867], [0.567, 0.032, 0.867], [0.067, 0.782, 0.866], [0.933, 0.218, 0.133], [0.433, 0.968, 0.133], [0.933, 0.717, 0.133], [0.433, 0.468, 0.134], [0.688, 0.593, 0.623], [0.188, 0.343, 0.623], [0.688, 0.093, 0.623], [0.188, 0.843, 0.623], [0.812, 0.157, 0.377], [0.312, 0.907, 0.377], [0.812, 0.657, 0.377], [0.312, 0.407, 0.377]]}

***

(8)
{"formula": "Mg2Fe2O5", "functional": "PBE+U", "state": "optimized geometry", "relative_energy_mev_per_atom": 126, "sg": "No. 55", "lattice_angstrom": [[3.536, 0.000, 0.000], [0.000, 5.610, 0.000], [0.000, 0.000, 10.602]], "species": ["Mg", "Mg", "Mg", "Mg", "Fe", "Fe", "Fe", "Fe", "O", "O", "O", "O", "O", "O", "O", "O", "O", "O"], "fractional_positions": [[0.500, 0.791, 0.902], [0.500, 0.209, 0.098], [0.500, 0.291, 0.598], [0.500, 0.709, 0.402], [0.000, 0.760, 0.640], [0.000, 0.240, 0.360], [0.000, 0.740, 0.140], [0.000, 0.260, 0.860], [0.000, 0.000, 0.500], [0.000, 0.640, 0.309], [0.000, 0.140, 0.191], [0.000, 0.860, 0.809], [0.500, 0.834, 0.090], [0.500, 0.166, 0.910], [0.000, 0.360, 0.691], [0.500, 0.666, 0.590], [0.000, 0.500, 0.000], [0.500, 0.334, 0.410]]}

***

Calculated values (eV for the cell shown) of total energy after the MP2020 corrections for the records, taken in order: -90.6; -108.7; -43.7; -138.7; -128.4; -306.7; -217.2; -126.9.
Calculated values (eV per atom) of electronic total energy for the records, taken in order: -6.46; -6.17; -6.19; -6.07; -6.25; -6.28; -6.16; -6.17.